First-principles (PBE-GGA) data for crystalline Rb2CaSb2 at its relaxed geometry, as listed in the Materials Project.

Geometry as CIF:
```
data_Rb2CaSb2
_chemical_formula_sum 'Rb2 Ca1 Sb2'
_space_group_name_H-M_alt 'P 1'
_space_group_IT_number 1
_space_group_name_Hall 'P 1'
_cell_length_a 3.6651
_cell_length_b 3.6651
_cell_length_c 18.0187
_cell_angle_alpha 90.00
_cell_angle_beta 90.00
_cell_angle_gamma 90.00
loop_
_atom_site_label
_atom_site_type_symbol
_atom_site_fract_x
_atom_site_fract_y
_atom_site_fract_z
Rb1 Rb 0.5000 0.5000 0.6498
Rb2 Rb 0.5000 0.5000 0.3502
Ca1 Ca 0.5000 0.5000 0.0000
Sb1 Sb 0.5000 0.5000 0.1633
Sb2 Sb 0.5000 0.5000 0.8367
```

Computed properties:
For the formation energy, the calculation gives 0.152 eV/atom. The calculated volume comes out at 48.4 A^3/atom.

First-principles (PBE-GGA) data for crystalline Ca2Rh at its relaxed geometry, as listed in the Materials Project.

Geometry as CIF:
```
data_Ca2Rh
_chemical_formula_sum 'Ca2 Rh1'
_space_group_name_H-M_alt 'P 1'
_space_group_IT_number 1
_space_group_name_Hall 'P 1'
_cell_length_a 4.9229
_cell_length_b 4.9229
_cell_length_c 4.9229
_cell_angle_alpha 60.00
_cell_angle_beta 60.00
_cell_angle_gamma 60.00
loop_
_atom_site_label
_atom_site_type_symbol
_atom_site_fract_x
_atom_site_fract_y
_atom_site_fract_z
Ca1 Ca 0.7500 0.7500 0.7500
Ca2 Ca 0.2500 0.2500 0.2500
Rh1 Rh 0.0000 0.0000 0.0000
```

Computed properties:
For the formation energy, the calculation gives -0.254 eV/atom. The calculated volume comes out at 28.1 A^3/atom.

First-principles (PBE-GGA) data for crystalline CaSi2Rh2 at its relaxed geometry, as listed in the Materials Project.

Geometry as CIF:
```
data_CaSi2Rh2
_chemical_formula_sum 'Ca1 Si2 Rh2'
_space_group_name_H-M_alt 'P 1'
_space_group_IT_number 1
_space_group_name_Hall 'P 1'
_cell_length_a 4.1119
_cell_length_b 4.1119
_cell_length_c 5.7977
_cell_angle_alpha 110.77
_cell_angle_beta 110.77
_cell_angle_gamma 90.00
loop_
_atom_site_label
_atom_site_type_symbol
_atom_site_fract_x
_atom_site_fract_y
_atom_site_fract_z
Ca1 Ca 0.0000 0.0000 0.0000
Si1 Si 0.6263 0.6263 0.2526
Si2 Si 0.3737 0.3737 0.7474
Rh1 Rh 0.2500 0.7500 0.5000
Rh2 Rh 0.7500 0.2500 0.5000
```

Computed properties:
For the formation energy, the calculation gives -0.973 eV/atom. The calculated volume comes out at 17.0 A^3/atom.

First-principles (PBE-GGA) data for crystalline CaSmRh2 at its relaxed geometry, as listed in the Materials Project.

Geometry as CIF:
```
data_CaSmRh2
_chemical_formula_sum 'Ca1 Sm1 Rh2'
_space_group_name_H-M_alt 'P 1'
_space_group_IT_number 1
_space_group_name_Hall 'P 1'
_cell_length_a 4.8959
_cell_length_b 4.8959
_cell_length_c 4.8959
_cell_angle_alpha 60.00
_cell_angle_beta 60.00
_cell_angle_gamma 60.00
loop_
_atom_site_label
_atom_site_type_symbol
_atom_site_fract_x
_atom_site_fract_y
_atom_site_fract_z
Ca1 Ca 0.5000 0.5000 0.5000
Sm1 Sm 0.0000 0.0000 0.0000
Rh1 Rh 0.2500 0.2500 0.2500
Rh2 Rh 0.7500 0.7500 0.7500
```

Computed properties:
For the formation energy, the calculation gives -0.551 eV/atom. The calculated volume comes out at 20.7 A^3/atom.